<one>
Here is a geometry-optimized KFePbOF6 structure from Materials Project. Energies are from GGA+U.

Output
**Symmetry**: P-1

Unit cell a=8.631 b=8.855 c=8.971 alpha=88.47 beta=89.03 gamma=89.96
Positions (direct):
K  0.242  0.492  0.001
K  0.258  0.008  0.999
K  0.742  0.992  0.001
K  0.758  0.508  0.999
Fe  0.007  0.759  0.779
Fe  0.493  0.741  0.221
Fe  0.507  0.259  0.779
Fe  0.993  0.241  0.221
Pb  0.001  0.242  0.724
Pb  0.498  0.259  0.276
Pb  0.502  0.741  0.724
Pb  0.999  0.758  0.276
O  0.071  0.493  0.498
O  0.429  0.007  0.502
O  0.571  0.993  0.498
O  0.929  0.507  0.502
F  0.001  0.984  0.803
F  0.010  0.537  0.796
F  0.018  0.247  0.995
F  0.028  0.790  0.568
F  0.221  0.246  0.224
F  0.233  0.761  0.810
F  0.267  0.740  0.190
F  0.278  0.253  0.776
F  0.472  0.709  0.432
F  0.482  0.253  0.005
F  0.490  0.963  0.203
F  0.499  0.517  0.196
F  0.501  0.483  0.804
F  0.510  0.037  0.797
F  0.518  0.747  0.995
F  0.528  0.291  0.568
F  0.722  0.747  0.224
F  0.733  0.260  0.810
F  0.767  0.239  0.190
F  0.779  0.754  0.776
F  0.972  0.210  0.432
F  0.982  0.753  0.005
F  0.990  0.463  0.204
F  0.999  0.016  0.197


<two>
Here is a geometry-optimized KFePbOF6 structure from Materials Project. Energies are from GGA+U.

Output
**Symmetry**: P-1

Unit cell a=5.851 b=5.874 c=8.969 alpha=82.21 beta=85.43 gamma=89.89
Positions (direct):
K  0.240  0.247  0.004
K  0.760  0.753  0.996
Fe  0.230  0.703  0.236
Fe  0.770  0.297  0.764
Pb  0.299  0.808  0.667
Pb  0.701  0.192  0.333
O  0.361  0.110  0.478
O  0.639  0.890  0.522
F  0.004  0.952  0.248
F  0.018  0.533  0.769
F  0.216  0.753  0.017
F  0.236  0.631  0.452
F  0.468  0.467  0.201
F  0.479  0.934  0.203
F  0.521  0.066  0.797
F  0.532  0.533  0.799
F  0.764  0.369  0.548
F  0.784  0.247  0.983
F  0.982  0.467  0.231
F  0.996  0.048  0.752


Pick <one>: it beats the second-best structure by 13.8 kJ/mol of atoms.